No. 1
! Ca2MgTl, optimized geometry, DFT r2SCAN; values from VASP
! ρ = 4.4 g cm⁻³
! energy of formation = -7.51 kcal/mol of atoms
! size of the total moment = 0.0 μB/f.u.
&SYSTEM
  ibrav = 0, nat = 4, ntyp = 3
/
ATOMIC_SPECIES
Ca 40.08 Ca.upf
Mg 24.30 Mg.upf
Tl 204.38 Tl.upf
CELL_PARAMETERS angstrom
4.755 -2.424 -1.231
3.200 -1.941 3.999
0.572 -5.406 0.669
ATOMIC_POSITIONS crystal
Ca 0.500 0.500 0.500
Ca 0.000 0.000 0.000
Mg 0.250 0.250 0.250
Tl 0.750 0.750 0.750



No. 2
! K2PtCl4, optimized geometry, DFT r2SCAN; values from VASP
! ρ = 3.4 g cm⁻³
! energy of formation = -34.76 kcal/mol of atoms
! size of the total moment = 0.0 μB/f.u.
&SYSTEM
  ibrav = 0, nat = 7, ntyp = 3
/
ATOMIC_SPECIES
K 39.10 K.upf
Pt 195.08 Pt.upf
Cl 35.45 Cl.upf
CELL_PARAMETERS angstrom
-0.079 3.795 1.668
2.430 -2.605 6.043
6.579 1.092 -2.174
ATOMIC_POSITIONS crystal
K 0.500 0.000 0.500
K 0.500 0.500 0.000
Pt 0.000 0.000 0.000
Cl 0.000 0.233 0.767
Cl 0.000 0.233 0.233
Cl 0.000 0.767 0.767
Cl 0.000 0.767 0.233



No. 3
! BaSi2O5, optimized geometry, DFT r2SCAN; values from VASP
! ρ = 3.7 g cm⁻³
! energy of formation = -73.08 kcal/mol of atoms
! size of the total moment = 0.0 μB/f.u.
&SYSTEM
  ibrav = 0, nat = 32, ntyp = 3
/
ATOMIC_SPECIES
Ba 137.33 Ba.upf
Si 28.09 Si.upf
O 16.00 O.upf
CELL_PARAMETERS angstrom
4.640 0.000 0.000
0.000 7.708 0.000
0.000 0.000 13.618
ATOMIC_POSITIONS crystal
Ba 0.279 0.750 0.044
Ba 0.779 0.250 0.456
Ba 0.721 0.250 0.956
Ba 0.221 0.750 0.544
Si 0.640 0.048 0.684
Si 0.140 0.952 0.816
Si 0.360 0.548 0.316
Si 0.860 0.452 0.184
Si 0.360 0.952 0.316
Si 0.860 0.048 0.184
Si 0.640 0.452 0.684
Si 0.140 0.548 0.816
O 0.849 0.053 0.781
O 0.349 0.947 0.719
O 0.151 0.553 0.219
O 0.651 0.447 0.281
O 0.151 0.947 0.219
O 0.651 0.053 0.281
O 0.849 0.447 0.781
O 0.349 0.553 0.719
O 0.762 0.962 0.587
O 0.262 0.038 0.913
O 0.238 0.462 0.413
O 0.738 0.538 0.087
O 0.048 0.750 0.838
O 0.548 0.250 0.662
O 0.952 0.250 0.162
O 0.452 0.750 0.338
O 0.262 0.462 0.913
O 0.762 0.538 0.587
O 0.738 0.962 0.087
O 0.238 0.038 0.413



No. 4
! Sn, optimized geometry, DFT r2SCAN; values from VASP
! ρ = 7.2 g cm⁻³
! energy of formation = 5.74 kcal/mol of atoms
! size of the total moment = 0.0 μB/f.u.
! energy above the most stable polymorph in this dataset = 0.249 eV/atom
&SYSTEM
  ibrav = 0, nat = 1, ntyp = 1
/
ATOMIC_SPECIES
Sn 118.71 Sn.upf
CELL_PARAMETERS angstrom
0.333 -0.651 -3.199
-0.856 -2.740 1.591
-2.325 2.278 0.416
ATOMIC_POSITIONS crystal
Sn 0.000 0.000 0.000



No. 5
! CeB2Ir2C, optimized geometry, DFT r2SCAN; values from VASP
! ρ = 12.1 g cm⁻³
! energy of formation = -16.01 kcal/mol of atoms
! size of the total moment = 0.3 μB/f.u.
&SYSTEM
  ibrav = 0, nat = 6, ntyp = 4
/
ATOMIC_SPECIES
Ce 140.12 Ce.upf
B 10.81 B.upf
Ir 192.22 Ir.upf
C 12.01 C.upf
CELL_PARAMETERS angstrom
-1.924 1.924 5.175
1.924 -1.924 5.175
1.924 1.924 -5.175
ATOMIC_POSITIONS crystal
Ce 0.500 0.500 0.000
B 0.146 0.146 0.000
B 0.854 0.854 0.000
Ir 0.250 0.750 0.500
Ir 0.750 0.250 0.500
C 0.000 0.000 0.000



No. 6
! Sm2Te4O11, optimized geometry, DFT r2SCAN; values from VASP
! ρ = 6.4 g cm⁻³
! energy of formation = -46.53 kcal/mol of atoms
! size of the total moment = 0.0 μB/f.u.
&SYSTEM
  ibrav = 0, nat = 34, ntyp = 3
/
ATOMIC_SPECIES
Sm 150.36 Sm.upf
Te 127.60 Te.upf
O 16.00 O.upf
CELL_PARAMETERS angstrom
-2.803 -5.114 3.468
0.899 -6.722 0.199
10.057 -2.365 12.555
ATOMIC_POSITIONS crystal
Sm 0.128 0.635 0.037
Sm 0.365 0.872 0.463
Sm 0.872 0.365 0.963
Sm 0.635 0.128 0.537
Te 0.910 0.349 0.627
Te 0.651 0.090 0.873
Te 0.090 0.651 0.373
Te 0.349 0.910 0.127
Te 0.102 0.657 0.700
Te 0.343 0.898 0.800
Te 0.898 0.343 0.300
Te 0.657 0.102 0.200
O 0.349 0.651 0.750
O 0.651 0.349 0.250
O 0.689 0.455 0.546
O 0.545 0.311 0.954
O 0.311 0.545 0.454
O 0.455 0.689 0.046
O 0.700 0.593 0.830
O 0.407 0.300 0.670
O 0.300 0.407 0.170
O 0.593 0.700 0.330
O 0.819 0.685 0.628
O 0.315 0.181 0.872
O 0.886 0.064 0.099
O 0.936 0.114 0.401
O 0.114 0.936 0.901
O 0.064 0.886 0.599
O 0.751 0.833 0.444
O 0.167 0.249 0.056
O 0.249 0.167 0.556
O 0.833 0.751 0.944
O 0.685 0.819 0.128
O 0.181 0.315 0.372



No. 7
! Fe11Co5, optimized geometry, DFT r2SCAN; values from VASP
! ρ = 8.3 g cm⁻³
! energy of formation = -3.46 kcal/mol of atoms
! size of the total moment = 38.6 μB/f.u.
&SYSTEM
  ibrav = 0, nat = 16, ntyp = 2
/
ATOMIC_SPECIES
Fe 55.84 Fe.upf
Co 58.93 Co.upf
CELL_PARAMETERS angstrom
-1.706 2.760 -4.666
0.747 -4.725 -3.068
-5.344 -1.527 1.051
ATOMIC_POSITIONS crystal
Fe 0.249 0.249 0.249
Fe 0.249 0.751 0.751
Fe 0.751 0.249 0.249
Fe 0.751 0.249 0.751
Fe 0.500 0.500 0.000
Fe 0.249 0.751 0.249
Fe 0.249 0.249 0.751
Fe 0.751 0.751 0.249
Fe 0.500 0.500 0.500
Fe 0.000 0.000 0.500
Fe 0.751 0.751 0.751
Co 0.500 0.000 0.000
Co 0.000 0.500 0.500
Co 0.000 0.500 0.000
Co 0.000 0.000 0.000
Co 0.500 0.000 0.500



No. 8
! Tl2TeI6, optimized geometry, DFT r2SCAN; values from VASP
! ρ = 5.6 g cm⁻³
! energy of formation = -10.27 kcal/mol of atoms
! size of the total moment = 0.0 μB/f.u.
&SYSTEM
  ibrav = 0, nat = 18, ntyp = 3
/
ATOMIC_SPECIES
Tl 204.38 Tl.upf
Te 127.60 Te.upf
I 126.90 I.upf
CELL_PARAMETERS angstrom
8.515 0.000 0.000
0.000 7.916 -0.002
0.000 7.811 11.323
ATOMIC_POSITIONS crystal
Tl 0.904 0.282 0.247
Tl 0.404 0.718 0.253
Tl 0.096 0.718 0.753
Tl 0.596 0.282 0.747
Te 0.000 0.000 0.000
Te 0.500 0.000 0.500
I 0.204 0.229 0.458
I 0.704 0.771 0.042
I 0.796 0.771 0.542
I 0.296 0.229 0.958
I 0.992 0.161 0.746
I 0.492 0.839 0.754
I 0.008 0.839 0.254
I 0.508 0.161 0.246
I 0.690 0.354 0.453
I 0.190 0.646 0.047
I 0.310 0.646 0.547
I 0.810 0.354 0.953



Copy entry 1 word for word.
! Ca2MgTl, optimized geometry, DFT r2SCAN; values from VASP
! ρ = 4.4 g cm⁻³
! energy of formation = -7.51 kcal/mol of atoms
! size of the total moment = 0.0 μB/f.u.
&SYSTEM
  ibrav = 0, nat = 4, ntyp = 3
/
ATOMIC_SPECIES
Ca 40.08 Ca.upf
Mg 24.30 Mg.upf
Tl 204.38 Tl.upf
CELL_PARAMETERS angstrom
4.755 -2.424 -1.231
3.200 -1.941 3.999
0.572 -5.406 0.669
ATOMIC_POSITIONS crystal
Ca 0.500 0.500 0.500
Ca 0.000 0.000 0.000
Mg 0.250 0.250 0.250
Tl 0.750 0.750 0.750